The following is a DFT calculation (r2SCAN) of an optimized crystal structure of MgAsPt5.

The space group is P4/mmm (No. 123) and the conventional cell measures 3.950, 3.950 and 7.127 Å, with angles of 90.00, 90.00 and 90.00 degrees. The inequivalent atoms are Mg at (0.000, 0.000, 0.000), As at (0.500, 0.500, 0.500), Pt at (0.000, 0.500, 0.279) and Pt at (0.500, 0.500, 0.000).

The calculation puts the volume at 111 Å³/cell. The calculation puts the total energy at -280.09 eV for the cell shown. For the formation energy, the calculation gives -0.539 eV per atom. Its total magnetization is 0.000 Bohr magnetons per cell.